Entry 1:
Below is an optimized crystal structure of TiCu3, with properties calculated at the meta-GGA r2SCAN level.

Lattice parameters (Å, degrees): 4.278 4.379 5.378 90.00 90.00 90.00
Fractional coordinates of all 8 atoms:
Cu 0.750 0.833 0.497
Ti 0.250 0.660 0.250
Cu 0.750 0.318 0.250
Cu 0.250 0.682 0.750
Cu 0.750 0.833 0.003
Cu 0.250 0.167 0.503
Cu 0.250 0.167 0.997
Ti 0.750 0.340 0.750

Properties
Density, g/cm³: 7.9
Energy relative to the elements, meV/atom: -93
Crystal system: orthorhombic

---

Entry 2:
Below is an optimized crystal structure of Lu2Te3, with properties calculated at the meta-GGA r2SCAN level.

Lattice parameters (Å, degrees): 7.414 7.414 13.510 100.58 100.58 109.32
Fractional coordinates of all 20 atoms:
Te 0.375 0.625 0.750
Lu 0.542 0.792 0.584
Te 0.211 0.459 0.415
Lu 0.876 0.126 0.251
Te 0.875 0.125 0.750
Lu 0.626 0.376 0.751
Te 0.704 0.956 0.415
Te 0.296 0.044 0.585
Lu 0.374 0.624 0.249
Lu 0.124 0.874 0.749
Te 0.041 0.289 0.085
Te 0.625 0.375 0.250
Lu 0.458 0.208 0.416
Te 0.456 0.204 0.915
Te 0.544 0.796 0.085
Lu 0.292 0.042 0.084
Te 0.959 0.711 0.915
Te 0.125 0.875 0.250
Te 0.789 0.541 0.585
Lu 0.708 0.958 0.916

Properties
Density, g/cm³: 7.3
Energy relative to the elements, meV/atom: -1595
Crystal system: orthorhombic

---

Entry 3:
Below is an optimized crystal structure of PaTlO3, with properties calculated at the meta-GGA r2SCAN level.

Lattice parameters (Å, degrees): 4.376 4.376 4.376 90.00 90.00 90.00
Fractional coordinates of all 5 atoms:
O 0.000 0.500 0.500
Tl 0.000 0.000 0.000
O 0.500 0.500 0.000
Pa 0.500 0.500 0.500
O 0.500 0.000 0.500

Properties
Density, g/cm³: 9.6
Energy relative to the elements, meV/atom: -2988
Crystal system: cubic

---

Entry 4:
Below is an optimized crystal structure of RbCr3O8, with properties calculated at the meta-GGA r2SCAN level.

Lattice parameters (Å, degrees): 5.090 15.972 5.090 85.19 64.69 85.19
Fractional coordinates of all 24 atoms:
O 0.224 0.724 0.224
O 0.678 0.442 0.678
Cr 0.375 0.652 0.375
O 0.776 0.776 0.776
O 0.224 0.224 0.224
O 0.266 0.336 0.769
O 0.734 0.664 0.231
Cr 0.000 0.250 0.000
Rb 0.000 0.500 0.000
Cr 0.625 0.348 0.625
O 0.322 0.558 0.322
O 0.231 0.664 0.734
Cr 0.375 0.152 0.375
O 0.769 0.836 0.266
O 0.769 0.336 0.266
Cr 0.625 0.848 0.625
Cr 0.000 0.750 0.000
O 0.776 0.276 0.776
O 0.678 0.942 0.678
O 0.734 0.164 0.231
O 0.231 0.164 0.734
Rb 0.000 0.000 0.000
O 0.266 0.836 0.769
O 0.322 0.058 0.322

Properties
Density, g/cm³: 3.3
Energy relative to the elements, meV/atom: -2046

---

Entry 5:
Below is an optimized crystal structure of CeAlPd2, with properties calculated at the meta-GGA r2SCAN level.

Lattice parameters (Å, degrees): 5.919 6.964 7.560 90.01 90.00 90.00
Fractional coordinates of all 16 atoms:
Pd 0.086 0.052 0.824
Pd 0.914 0.948 0.176
Ce 0.158 0.750 0.535
Pd 0.914 0.552 0.176
Pd 0.586 0.552 0.676
Al 0.659 0.750 0.381
Ce 0.342 0.750 0.035
Al 0.159 0.250 0.119
Al 0.341 0.250 0.619
Al 0.841 0.750 0.881
Pd 0.086 0.448 0.824
Ce 0.842 0.250 0.465
Ce 0.658 0.250 0.965
Pd 0.586 0.948 0.676
Pd 0.414 0.051 0.324
Pd 0.414 0.448 0.324

Properties
Density, g/cm³: 8.1
Energy relative to the elements, meV/atom: -871
Crystal system: orthorhombic

---

Entry 6:
Below is an optimized crystal structure of Hf4CuSi4, with properties calculated at the meta-GGA r2SCAN level.

Lattice parameters (Å, degrees): 5.184 5.184 8.617 71.62 71.62 42.20
Fractional coordinates of all 9 atoms:
Hf 0.892 0.892 0.380
Si 0.386 0.386 0.613
Hf 0.108 0.108 0.620
Hf 0.246 0.246 0.158
Si 0.537 0.537 0.149
Cu 0.000 0.000 0.000
Hf 0.754 0.754 0.842
Si 0.463 0.463 0.851
Si 0.614 0.614 0.387

Properties
Density, g/cm³: 10.1
Energy relative to the elements, meV/atom: -793
Crystal system: monoclinic

---

Entry 7:
Below is an optimized crystal structure of SrNb2O4, with properties calculated at the meta-GGA r2SCAN level.

Lattice parameters (Å, degrees): 5.126 5.920 12.582 90.00 90.00 90.00
Fractional coordinates of all 28 atoms:
O 0.492 0.004 0.356
Sr 0.303 0.250 0.004
Nb 0.844 0.500 0.750
O 0.990 0.750 0.148
Sr 0.697 0.750 0.996
O 0.989 0.250 0.145
O 0.011 0.250 0.645
O 0.010 0.750 0.648
Nb 0.658 0.750 0.253
O 0.492 0.996 0.144
Nb 0.156 0.500 0.250
Sr 0.303 0.750 0.496
Nb 0.658 0.250 0.247
O 0.508 0.996 0.644
O 0.508 0.504 0.644
O 0.508 0.496 0.856
Nb 0.342 0.750 0.753
Sr 0.697 0.250 0.504
O 0.492 0.504 0.144
O 0.990 0.250 0.352
O 0.508 0.004 0.856
Nb 0.342 0.250 0.747
Nb 0.156 0.000 0.250
O 0.011 0.750 0.855
O 0.010 0.250 0.852
O 0.492 0.496 0.356
O 0.989 0.750 0.355
Nb 0.844 0.000 0.750

Properties
Density, g/cm³: 5.9
Energy relative to the elements, meV/atom: -2810
Crystal system: orthorhombic

---

Entry 8:
Below is an optimized crystal structure of CsP2Ru2, with properties calculated at the meta-GGA r2SCAN level.

Lattice parameters (Å, degrees): 7.589 7.589 7.589 149.10 149.10 44.26
Fractional coordinates of all 5 atoms:
P 0.328 0.328 0.000
Ru 0.750 0.250 0.500
P 0.672 0.672 0.000
Ru 0.250 0.750 0.500
Cs 0.000 0.000 0.000

Properties
Density, g/cm³: 5.7
Energy relative to the elements, meV/atom: -729
Crystal system: tetragonal

---

Entry 9:
Below is an optimized crystal structure of CsGa3, with properties calculated at the meta-GGA r2SCAN level.

Lattice parameters (Å, degrees): 6.404 6.404 8.871 111.16 111.16 90.00
Fractional coordinates of all 12 atoms:
Ga 0.611 0.303 0.222
Cs 0.000 0.000 0.000
Ga 0.081 0.389 0.778
Cs 0.372 0.872 0.744
Ga 0.016 0.225 0.450
Ga 0.775 0.984 0.550
Cs 0.128 0.628 0.256
Ga 0.697 0.389 0.778
Ga 0.500 0.500 0.000
Ga 0.611 0.919 0.222
Ga 0.775 0.565 0.550
Ga 0.435 0.225 0.450

Properties
Density, g/cm³: 5.4
Energy relative to the elements, meV/atom: -215
Crystal system: tetragonal

---

Entry 10:
Below is an optimized crystal structure of Ti3ZnN, with properties calculated at the meta-GGA r2SCAN level.

Lattice parameters (Å, degrees): 5.538 5.538 8.300 90.00 90.00 147.84
Fractional coordinates of all 10 atoms:
N 0.000 0.000 0.500
N 0.000 0.000 0.000
Ti 0.626 0.374 0.458
Ti 0.374 0.626 0.542
Zn 0.746 0.254 0.750
Ti 0.039 0.961 0.750
Ti 0.374 0.626 0.958
Ti 0.961 0.039 0.250
Zn 0.254 0.746 0.250
Ti 0.626 0.374 0.042

Properties
Density, g/cm³: 5.5
Energy relative to the elements, meV/atom: -999
Crystal system: orthorhombic

---

Entry 11:
Below is an optimized crystal structure of Bi2Pd, with properties calculated at the meta-GGA r2SCAN level.

Lattice parameters (Å, degrees): 4.286 5.753 6.769 103.09 108.48 90.15
Fractional coordinates of all 6 atoms:
Pd 0.221 0.830 0.444
Pd 0.779 0.170 0.556
Bi 0.430 0.205 0.857
Bi 0.162 0.316 0.322
Bi 0.838 0.684 0.678
Bi 0.570 0.795 0.143

Properties
Density, g/cm³: 11.3
Energy relative to the elements, meV/atom: -198
Crystal system: triclinic

---

Entry 12:
Below is an optimized crystal structure of Ga5Pd13, with properties calculated at the meta-GGA r2SCAN level.

Lattice parameters (Å, degrees): 4.052 5.495 12.337 102.31 99.43 90.02
Fractional coordinates of all 18 atoms:
Pd 0.660 0.830 0.320
Pd 0.113 0.124 0.226
Ga 0.894 0.354 0.789
Ga 0.677 0.311 0.354
Pd 0.429 0.625 0.858
Pd 0.340 0.170 0.680
Pd 0.000 0.500 0.000
Ga 0.000 0.000 0.000
Pd 0.789 0.408 0.576
Pd 0.225 0.110 0.450
Pd 0.887 0.876 0.774
Pd 0.775 0.890 0.551
Ga 0.106 0.646 0.211
Pd 0.211 0.592 0.424
Pd 0.544 0.849 0.089
Ga 0.323 0.689 0.646
Pd 0.571 0.375 0.142
Pd 0.456 0.151 0.911

Properties
Density, g/cm³: 10.9
Energy relative to the elements, meV/atom: -555
Crystal system: monoclinic

---

Entry 13:
Below is an optimized crystal structure of Tm3Al, with properties calculated at the meta-GGA r2SCAN level.

Lattice parameters (Å, degrees): 6.680 6.680 5.249 90.00 90.00 120.00
Fractional coordinates of all 8 atoms:
Tm 0.827 0.173 0.750
Tm 0.347 0.173 0.750
Al 0.333 0.667 0.750
Tm 0.653 0.827 0.250
Tm 0.827 0.653 0.750
Tm 0.173 0.827 0.250
Tm 0.173 0.347 0.250
Al 0.667 0.333 0.250

Properties
Density, g/cm³: 8.7
Energy relative to the elements, meV/atom: -236
Crystal system: hexagonal

---

Entry 14:
Below is an optimized crystal structure of Zr2Al3C4, with properties calculated at the meta-GGA r2SCAN level.

Lattice parameters (Å, degrees): 3.346 3.346 22.225 90.00 90.00 120.00
Fractional coordinates of all 18 atoms:
Al 0.000 0.000 0.160
Al 0.000 0.000 0.840
Zr 0.667 0.333 0.559
C 0.333 0.667 0.871
C 0.667 0.333 0.129
C 0.000 0.000 0.500
Al 0.333 0.667 0.750
Al 0.667 0.333 0.250
C 0.000 0.000 0.750
Zr 0.333 0.667 0.441
Al 0.000 0.000 0.340
C 0.000 0.000 0.000
C 0.333 0.667 0.629
Zr 0.667 0.333 0.941
Al 0.000 0.000 0.660
C 0.000 0.000 0.250
Zr 0.333 0.667 0.059
C 0.667 0.333 0.371

Properties
Density, g/cm³: 4.8
Energy relative to the elements, meV/atom: -625
Crystal system: hexagonal

---

Entry 15:
Below is an optimized crystal structure of FeCo3, with properties calculated at the meta-GGA r2SCAN level.

Lattice parameters (Å, degrees): 3.535 3.535 3.537 90.00 90.00 90.00
Fractional coordinates of all 4 atoms:
Co 0.500 0.000 0.500
Co 0.500 0.500 0.000
Fe 0.000 0.000 0.000
Co 0.000 0.500 0.500

Properties
Density, g/cm³: 8.7
Energy relative to the elements, meV/atom: -16
Crystal system: cubic

---

Entry 16:
Below is an optimized crystal structure of TmMnB4, with properties calculated at the meta-GGA r2SCAN level.

Lattice parameters (Å, degrees): 3.346 5.897 11.414 90.00 90.00 90.00
Fractional coordinates of all 24 atoms:
B 0.000 0.113 0.047
B 0.000 0.887 0.953
B 0.000 0.637 0.032
B 0.000 0.023 0.192
B 0.000 0.215 0.315
B 0.000 0.387 0.547
B 0.000 0.363 0.968
Mn 0.500 0.368 0.413
Tm 0.500 0.628 0.850
Mn 0.500 0.868 0.087
B 0.000 0.137 0.468
Mn 0.500 0.632 0.587
Tm 0.500 0.372 0.150
B 0.000 0.613 0.453
Tm 0.500 0.872 0.350
Mn 0.500 0.132 0.913
B 0.000 0.977 0.808
B 0.000 0.477 0.692
B 0.000 0.523 0.308
Tm 0.500 0.128 0.650
B 0.000 0.863 0.532
B 0.000 0.785 0.685
B 0.000 0.715 0.185
B 0.000 0.285 0.815

Properties
Density, g/cm³: 7.9
Energy relative to the elements, meV/atom: -718
Crystal system: orthorhombic

---

Entry 17:
Below is an optimized crystal structure of TiCrP, with properties calculated at the meta-GGA r2SCAN level.

Lattice parameters (Å, degrees): 6.377 6.377 3.232 90.00 90.00 120.00
Fractional coordinates of all 9 atoms:
Ti 0.404 0.404 0.500
Cr 0.000 0.254 0.000
P 0.000 0.000 0.500
P 0.333 0.667 0.000
Ti 0.000 0.596 0.500
Cr 0.746 0.746 0.000
P 0.667 0.333 0.000
Ti 0.596 0.000 0.500
Cr 0.254 0.000 0.000

Properties
Density, g/cm³: 5.7
Energy relative to the elements, meV/atom: -910
Crystal system: hexagonal

---

Entry 18:
Below is an optimized crystal structure of Sc5As3, with properties calculated at the meta-GGA r2SCAN level.

Lattice parameters (Å, degrees): 7.256 8.156 10.758 90.00 90.00 90.00
Fractional coordinates of all 32 atoms:
Sc 0.810 0.553 0.929
As 0.063 0.491 0.327
Sc 0.190 0.447 0.071
As 0.416 0.750 0.519
Sc 0.810 0.947 0.929
As 0.563 0.991 0.173
As 0.437 0.009 0.827
Sc 0.310 0.053 0.571
As 0.937 0.991 0.673
Sc 0.349 0.250 0.294
Sc 0.151 0.250 0.794
Sc 0.530 0.250 0.004
As 0.063 0.009 0.327
As 0.563 0.509 0.173
As 0.437 0.491 0.827
Sc 0.165 0.750 0.778
As 0.916 0.250 0.981
Sc 0.310 0.447 0.571
As 0.937 0.509 0.673
As 0.084 0.750 0.019
Sc 0.190 0.053 0.071
Sc 0.970 0.250 0.504
Sc 0.665 0.250 0.722
Sc 0.835 0.250 0.222
Sc 0.849 0.750 0.206
Sc 0.651 0.750 0.706
As 0.584 0.250 0.481
Sc 0.690 0.947 0.429
Sc 0.335 0.750 0.278
Sc 0.030 0.750 0.496
Sc 0.690 0.553 0.429
Sc 0.470 0.750 0.996

Properties
Density, g/cm³: 4.7
Energy relative to the elements, meV/atom: -1232
Crystal system: orthorhombic

---

Entry 19:
Below is an optimized crystal structure of KTlO2, with properties calculated at the meta-GGA r2SCAN level.

Lattice parameters (Å, degrees): 6.420 6.420 6.420 31.21 31.21 31.21
Fractional coordinates of all 4 atoms:
K 0.500 0.500 0.500
O 0.732 0.732 0.732
O 0.268 0.268 0.268
Tl 0.000 0.000 0.000

Properties
Density, g/cm³: 7.3
Energy relative to the elements, meV/atom: -1195
Crystal system: trigonal